# 1
Density functional theory data (GGA-PBE) for a relaxed PrMgRe2O8 crystal.

a = 5.526 Å, b = 6.378 Å, c = 6.284 Å
α = 90.02°, β = 85.39°, γ = 125.24°
Positions (direct):
O: 0.810 0.675 0.742
O: 0.811 0.135 0.742
O: 0.648 0.824 0.311
O: 0.244 0.622 0.654
O: 0.190 0.325 0.258
Mg: 0.000 0.000 0.500
Re: 0.224 0.612 0.363
Re: 0.776 0.388 0.637
Pr: 0.000 0.000 0.000
O: 0.756 0.378 0.346
O: 0.352 0.176 0.689
O: 0.189 0.865 0.258

Results
**Volume**: 15.00 Å³/atom
**Offset from the most stable computed form**: 0.00 eV/f.u.



# 2
Density functional theory data (GGA-PBE) for a relaxed ErAsS crystal.

a = 3.807 Å, b = 3.821 Å, c = 16.954 Å
α = 90.00°, β = 90.00°, γ = 90.00°
Positions (direct):
As: 0.750 0.278 0.001
S: 0.750 0.721 0.813
S: 0.750 0.779 0.313
Er: 0.250 0.221 0.854
S: 0.250 0.221 0.687
Er: 0.750 0.721 0.646
Er: 0.250 0.279 0.354
S: 0.250 0.279 0.187
As: 0.750 0.222 0.501
As: 0.250 0.722 0.999
Er: 0.750 0.779 0.146
As: 0.250 0.778 0.499

Results
**Volume**: 20.55 Å³/atom
**E**: -0.4402 Ry/atom



# 3
Density functional theory data (GGA-PBE) for a relaxed Cs2CaH4 crystal.

a = 8.447 Å, b = 8.447 Å, c = 8.447 Å
α = 148.23°, β = 148.23°, γ = 45.55°
Positions (direct):
Ca: 0.000 0.000 0.000
Cs: 0.352 0.352 0.000
H: 0.851 0.851 0.000
H: 0.500 0.000 0.500
H: 0.149 0.149 0.000
Cs: 0.648 0.648 0.000
H: 0.000 0.500 0.500

Results
**Volume**: 23.79 Å³/atom
**E**: -0.2057 Ry/atom



# 4
Density functional theory data (GGA-PBE) for a relaxed MgCu2P2O8 crystal.

a = 5.597 Å, b = 6.120 Å, c = 5.598 Å
α = 77.31°, β = 59.51°, γ = 102.67°
Positions (direct):
Cu: 0.774 0.250 0.773
O: 0.737 0.926 0.828
O: 0.223 0.897 0.724
P: 0.137 0.250 0.136
O: 0.339 0.111 0.135
P: 0.880 0.750 0.880
Cu: 0.541 0.750 0.540
O: 0.271 0.406 0.801
Mg: 0.428 0.250 0.424
O: 0.802 0.094 0.270
O: 0.828 0.574 0.737
O: 0.725 0.603 0.222
O: 0.136 0.389 0.339

Results
**Volume**: 11.40 Å³/atom
**Offset from the most stable computed form**: 1.00 eV/f.u.



Which density belongs to each record? In order, 6.141; 7.386; 3.090; 3.825 Mg/m³.